First-principles (PBE) data for crystalline Li3PrSb2 at its relaxed geometry, as listed in the Materials Project database.

Calculated values
Space-group type: P-3m1, No. 164

Cell lengths 4.6224, 4.6224, 7.3663 Å; angles 90.00, 90.00, 120.00 degrees
With the nearest neighbours (Å) after each atom.
Atoms (fractional coordinates):
Li  0.6667  0.3333  0.6474  4 Sb 2.76-2.88, 3 Li 2.88
Li  0.3333  0.6667  0.3526  4 Sb 2.76-2.88, 3 Li 2.88
Li  0.0000  0.0000  0.5000  6 Li 2.88, 6 Sb 3.22
Pr  0.0000  0.0000  0.0000  6 Sb 3.27
Sb  0.6667  0.3333  0.2560  4 Li 2.76-2.88
Sb  0.3333  0.6667  0.7440  4 Li 2.76-2.88


First-principles (PBE) data for crystalline Sm2Te3 at its relaxed geometry, as listed in the Materials Project database.

Calculated values
Space-group type: Pnma, No. 62

Cell lengths 4.3813, 11.9868, 12.2134 Å; angles 90.00, 90.00, 90.00 degrees
With the nearest neighbours (Å) after each atom.
Atoms (fractional coordinates):
Sm  0.2500  0.1869  0.4846  7 Te 3.16-3.26
Sm  0.2500  0.3131  0.9846  7 Te 3.16-3.26
Sm  0.7500  0.8131  0.5154  7 Te 3.16-3.26
Sm  0.7500  0.6869  0.0154  7 Te 3.16-3.26
Sm  0.7500  0.5017  0.6962  7 Te 3.21-3.28
Sm  0.7500  0.9983  0.1962  7 Te 3.21-3.28
Sm  0.2500  0.4983  0.3038  7 Te 3.21-3.28
Sm  0.2500  0.0017  0.8038  7 Te 3.21-3.28
Te  0.2500  0.6236  0.5427  5 Sm 3.17-3.28
Te  0.2500  0.8764  0.0427  5 Sm 3.17-3.28
Te  0.7500  0.3764  0.4573  5 Sm 3.17-3.28
Te  0.7500  0.1236  0.9573  5 Sm 3.17-3.28
Te  0.7500  0.0560  0.6190  5 Sm 3.16-3.21
Te  0.7500  0.4440  0.1190  5 Sm 3.16-3.21
Te  0.2500  0.9440  0.3810  5 Sm 3.16-3.21
Te  0.2500  0.5560  0.8810  5 Sm 3.16-3.21
Te  0.2500  0.3040  0.7252  4 Sm 3.17-3.26
Te  0.2500  0.1960  0.2252  4 Sm 3.17-3.26
Te  0.7500  0.6960  0.2748  4 Sm 3.17-3.26
Te  0.7500  0.8040  0.7748  4 Sm 3.17-3.26


First-principles (PBE) data for crystalline Zn3Cr8FeS16 at its relaxed geometry, as listed in the Materials Project database.

Calculated values
Space-group type: R3m, No. 160
M_tot (μB per cell): 28.00

Cell lengths 12.2654, 12.2654, 12.2654 Å; angles 33.58, 33.58, 33.58 degrees
With the nearest neighbours (Å) after each atom.
Atoms (fractional coordinates):
Zn  0.1875  0.1875  0.1875  4 S 2.35
Zn  0.8125  0.8125  0.8125  4 S 2.35
Zn  0.3126  0.3126  0.3126  4 S 2.35
Cr  0.0006  0.0006  0.0006  6 S 2.41
Cr  0.4999  0.4999  0.4999  6 S 2.40-2.41
Cr  0.7514  0.2489  0.2489  6 S 2.40-2.42
Cr  0.2512  0.7496  0.7496  6 S 2.40-2.42
Cr  0.2489  0.7514  0.2489  6 S 2.40-2.42
Cr  0.7496  0.2512  0.7496  6 S 2.40-2.42
Cr  0.2489  0.2489  0.7514  6 S 2.40-2.42
Cr  0.7496  0.7496  0.2512  6 S 2.40-2.42
Fe  0.6875  0.6875  0.6875  4 S 2.31
S  0.1198  0.1198  0.1198  1 Zn 2.35, 3 Cr 2.40
S  0.6209  0.6209  0.6209  1 Fe 2.31, 3 Cr 2.42
S  0.3549  0.8871  0.8871  1 Fe 2.31, 3 Cr 2.41-2.42
S  0.8489  0.3906  0.3906  1 Zn 2.35, 3 Cr 2.40-2.41
S  0.8871  0.3549  0.8871  1 Fe 2.31, 3 Cr 2.41-2.42
S  0.3906  0.8489  0.3906  1 Zn 2.35, 3 Cr 2.40-2.41
S  0.8871  0.8871  0.3549  1 Fe 2.31, 3 Cr 2.41-2.42
S  0.3906  0.3906  0.8489  1 Zn 2.35, 3 Cr 2.40-2.41
S  0.3803  0.3803  0.3803  1 Zn 2.35, 3 Cr 2.41
S  0.8803  0.8803  0.8803  1 Zn 2.35, 3 Cr 2.41
S  0.1514  0.6091  0.6091  1 Zn 2.35, 3 Cr 2.40-2.41
S  0.6517  0.1091  0.1091  1 Zn 2.35, 3 Cr 2.40-2.41
S  0.6091  0.1514  0.6091  1 Zn 2.35, 3 Cr 2.40-2.41
S  0.1091  0.6517  0.1091  1 Zn 2.35, 3 Cr 2.40-2.41
S  0.6091  0.6091  0.1514  1 Zn 2.35, 3 Cr 2.40-2.41
S  0.1091  0.1091  0.6517  1 Zn 2.35, 3 Cr 2.40-2.41


First-principles (PBE) data for crystalline NbTe4I at its relaxed geometry, as listed in the Materials Project database.

Calculated values
Space-group type: P2_1/c, No. 14

Cell lengths 16.1373, 8.1698, 13.4725 Å; angles 81.01, 90.00, 90.00 degrees
With the nearest neighbours (Å) after each atom.
Atoms (fractional coordinates):
Nb  0.7493  0.2462  0.5045  8 Te 2.83-2.97
Nb  0.2442  0.7549  0.2444  8 Te 2.81-2.96
Nb  0.7558  0.2451  0.7556  8 Te 2.81-2.96
Nb  0.7507  0.2462  0.0045  8 Te 2.83-2.97
Nb  0.2493  0.7538  0.9955  8 Te 2.83-2.97
Nb  0.2507  0.7538  0.4955  8 Te 2.83-2.97
Nb  0.2558  0.7549  0.7444  8 Te 2.81-2.96
Nb  0.7442  0.2451  0.2556  8 Te 2.81-2.96
Te  0.2193  0.4740  0.6472  1 Te 2.81, 2 Nb 2.86-2.87
Te  0.7807  0.5260  0.3528  1 Te 2.81, 2 Nb 2.86-2.87
Te  0.1676  0.9895  0.8349  2 Nb 2.81-2.97, 1 Te 2.85
Te  0.8909  0.2568  0.3755  1 Te 2.81, 2 Nb 2.86-2.88
Te  0.6676  0.0105  0.6651  2 Nb 2.81-2.97, 1 Te 2.85
Te  0.1091  0.7432  0.6245  1 Te 2.81, 2 Nb 2.86-2.88
Te  0.6645  0.4773  0.6031  2 Nb 2.83-2.96, 1 Te 2.84
Te  0.7193  0.5260  0.8528  1 Te 2.81, 2 Nb 2.86-2.87
Te  0.7906  0.9671  0.9087  1 Te 2.81, 2 Nb 2.86-2.87
Te  0.3400  0.5229  0.8860  2 Nb 2.82-2.96, 1 Te 2.84
Te  0.3427  0.9826  0.8601  2 Nb 2.83-2.96, 1 Te 2.85
Te  0.8355  0.4773  0.1031  2 Nb 2.83-2.96, 1 Te 2.84
Te  0.6091  0.2568  0.8755  1 Te 2.81, 2 Nb 2.86-2.88
Te  0.7094  0.9671  0.4087  1 Te 2.81, 2 Nb 2.86-2.87
Te  0.2906  0.0329  0.5913  1 Te 2.81, 2 Nb 2.86-2.87
Te  0.1645  0.5227  0.8969  2 Nb 2.83-2.96, 1 Te 2.84
Te  0.3355  0.5227  0.3969  2 Nb 2.83-2.96, 1 Te 2.84
Te  0.8400  0.4771  0.6140  2 Nb 2.82-2.96, 1 Te 2.84
Te  0.1573  0.9826  0.3601  2 Nb 2.83-2.96, 1 Te 2.85
Te  0.8992  0.2400  0.8854  1 Te 2.81, 2 Nb 2.89-2.90
Te  0.3909  0.7432  0.1245  1 Te 2.81, 2 Nb 2.86-2.88
Te  0.8427  0.0174  0.6399  2 Nb 2.83-2.96, 1 Te 2.85
Te  0.6573  0.0174  0.1399  2 Nb 2.83-2.96, 1 Te 2.85
Te  0.2094  0.0329  0.0913  1 Te 2.81, 2 Nb 2.86-2.87
Te  0.3324  0.9895  0.3349  2 Nb 2.81-2.97, 1 Te 2.85
Te  0.1600  0.5229  0.3860  2 Nb 2.82-2.96, 1 Te 2.84
Te  0.1008  0.7600  0.1146  1 Te 2.81, 2 Nb 2.89-2.90
Te  0.2807  0.4740  0.1472  1 Te 2.81, 2 Nb 2.86-2.87
Te  0.3992  0.7600  0.6146  1 Te 2.81, 2 Nb 2.89-2.90
Te  0.6008  0.2400  0.3854  1 Te 2.81, 2 Nb 2.89-2.90
Te  0.8324  0.0105  0.1651  2 Nb 2.81-2.97, 1 Te 2.85
Te  0.6600  0.4771  0.1140  2 Nb 2.82-2.96, 1 Te 2.84
I  0.9694  0.6200  0.8562  2 Te 3.27
I  0.0347  0.1254  0.6173  2 Te 3.22-3.33
I  0.5306  0.6200  0.3562  2 Te 3.27
I  0.4653  0.1254  0.1173  2 Te 3.22-3.33
I  0.4694  0.3800  0.6438  2 Te 3.27
I  0.5347  0.8746  0.8827  2 Te 3.22-3.33
I  0.0306  0.3800  0.1438  2 Te 3.27
I  0.9653  0.8746  0.3827  2 Te 3.22-3.33


| no. | ΔE_f (eV per atom) |
| --- | --- |
| 1 | -0.91 |
| 2 | -1.69 |
| 3 | -1.00 |
| 4 | -0.40 |